No. 1
# NbMoS4

An optimized crystal structure of NbMoS4 (PBE-GGA, Materials Project).

```
data_NbMoS4
_chemical_formula_sum 'Nb1 Mo1 S4'
_cell_length_a 5.703
_cell_length_b 3.289
_cell_length_c 6.648
_cell_angle_alpha 90.00
_cell_angle_beta 106.81
_cell_angle_gamma 90.00
_space_group_name_H-M_alt 'P 1 m 1'
_space_group_IT_number 6
loop_
_space_group_symop_operation_xyz
'x,y,z'
'x,-y,z'
loop_
_atom_site_label
_atom_site_type_symbol
_atom_site_fract_x
_atom_site_fract_y
_atom_site_fract_z
Nb1 Nb 0.000 0.000 0.000
Mo1 Mo 0.508 0.500 0.000
S1 S 0.262 0.000 0.759
S2 S 0.424 0.000 0.242
S3 S 0.750 0.500 0.753
S4 S 0.917 0.500 0.248
```

Calculated values
Calculated formation energy in eV/atom: -1.260



No. 2
# Li3SbP2O8

An optimized crystal structure of Li3SbP2O8 (PBE-GGA, Materials Project).

```
data_Li3SbP2O8
_chemical_formula_sum 'Li6 Sb2 P4 O16'
_cell_length_a 8.622
_cell_length_b 5.715
_cell_length_c 6.326
_cell_angle_alpha 90.00
_cell_angle_beta 91.61
_cell_angle_gamma 90.00
_space_group_name_H-M_alt 'C 1 2/m 1'
_space_group_IT_number 12
loop_
_space_group_symop_operation_xyz
'x,y,z'
'-x,-y,-z'
'-x,y,-z'
'x,-y,z'
'x+1/2,y+1/2,z'
'-x+1/2,-y+1/2,-z'
'-x+1/2,y+1/2,-z'
'x+1/2,-y+1/2,z'
loop_
_atom_site_label
_atom_site_type_symbol
_atom_site_fract_x
_atom_site_fract_y
_atom_site_fract_z
Li1 Li 0.000 0.000 0.000
Li2 Li 0.162 0.500 0.795
Sb1 Sb 0.000 0.000 0.500
P1 P 0.148 0.500 0.260
O1 O 0.034 0.281 0.242
O2 O 0.229 0.500 0.481
O3 O 0.237 0.000 0.919
```

Calculated values
Calculated formation energy in eV/atom: -2.502
Relative energy among the computed polymorphs in meV per atom: 21
Magnetization in μB per cell: 0.00



No. 3
# ZrCuHg2

An optimized crystal structure of ZrCuHg2 (PBE-GGA, Materials Project).

```
data_ZrCuHg2
_chemical_formula_sum 'Zr4 Cu4 Hg8'
_cell_length_a 6.757
_cell_length_b 6.757
_cell_length_c 6.757
_cell_angle_alpha 90.00
_cell_angle_beta 90.00
_cell_angle_gamma 90.00
_space_group_name_H-M_alt 'F -4 3 m'
_space_group_IT_number 216
_space_group_name_Hall 'F -4 2 3'
loop_
_atom_site_label
_atom_site_type_symbol
_atom_site_fract_x
_atom_site_fract_y
_atom_site_fract_z
Zr1 Zr 0.000 0.000 0.000
Cu1 Cu 0.250 0.250 0.250
Hg1 Hg 0.000 0.000 0.500
Hg2 Hg 0.250 0.250 0.750
```

Calculated values
Calculated formation energy in eV/atom: 0.042
Magnetization in μB per cell: 0.00



No. 4
# Na7CaSi3Sn3P3O24

An optimized crystal structure of Na7CaSi3Sn3P3O24 (PBE-GGA, Materials Project).

```
data_Na7CaSi3Sn3P3O24
_chemical_formula_sum 'Na21 Ca3 Si9 Sn9 P9 O72'
_cell_length_a 9.161
_cell_length_b 9.170
_cell_length_c 22.577
_cell_angle_alpha 89.74
_cell_angle_beta 89.80
_cell_angle_gamma 60.07
_space_group_name_H-M_alt 'P 1'
_space_group_IT_number 1
loop_
_space_group_symop_operation_xyz
'x,y,z'
loop_
_atom_site_label
_atom_site_type_symbol
_atom_site_fract_x
_atom_site_fract_y
_atom_site_fract_z
Na1 Na 0.000 0.000 0.000
Na2 Na 0.000 0.387 0.497
Na3 Na 0.020 0.321 0.164
Na4 Na 0.029 0.677 0.911
Na5 Na 0.031 0.033 0.669
Na6 Na 0.051 0.662 0.411
Na7 Na 0.075 0.330 0.831
Na8 Na 0.331 0.722 0.829
Na9 Na 0.346 0.017 0.249
Na10 Na 0.352 0.637 0.500
Na11 Na 0.353 0.379 0.996
Na12 Na 0.371 0.999 0.752
Na13 Na 0.388 0.678 0.168
Na14 Na 0.391 0.321 0.663
Na15 Na 0.678 0.031 0.163
Na16 Na 0.682 0.979 0.830
Na17 Na 0.685 0.360 0.583
Na18 Na 0.696 0.706 0.328
Na19 Na 0.703 0.342 0.083
Na20 Na 0.735 0.003 0.501
Na21 Na 0.736 0.647 0.000
Ca1 Ca 0.027 0.679 0.069
Ca2 Ca 0.032 0.673 0.564
Ca3 Ca 0.361 0.009 0.893
Si1 Si 0.025 0.980 0.163
Si2 Si 0.335 0.676 0.661
Si3 Si 0.370 0.294 0.495
Si4 Si 0.395 0.640 0.331
Si5 Si 0.400 0.351 0.828
Si6 Si 0.705 0.632 0.829
Si7 Si 0.728 0.675 0.164
Si8 Si 0.981 0.049 0.827
Si9 Si 0.992 0.345 0.330
Sn1 Sn 0.031 0.679 0.764
Sn2 Sn 0.033 0.677 0.266
Sn3 Sn 0.355 0.014 0.390
Sn4 Sn 0.362 0.007 0.098
Sn5 Sn 0.368 0.007 0.599
Sn6 Sn 0.691 0.345 0.429
Sn7 Sn 0.693 0.350 0.729
Sn8 Sn 0.696 0.345 0.928
Sn9 Sn 0.698 0.345 0.234
P1 P 0.028 0.375 0.662
P2 P 0.060 0.305 0.996
P3 P 0.069 0.018 0.495
P4 P 0.331 0.375 0.164
P5 P 0.371 0.704 0.996
P6 P 0.646 0.718 0.493
P7 P 0.656 0.019 0.996
P8 P 0.698 0.047 0.331
P9 P 0.728 0.978 0.663
O1 O 0.001 0.469 0.605
O2 O 0.038 0.482 0.001
O3 O 0.040 0.868 0.499
O4 O 0.058 0.461 0.717
O5 O 0.075 0.839 0.216
O6 O 0.146 0.048 0.553
O7 O 0.147 0.194 0.054
O8 O 0.161 0.226 0.941
O9 O 0.167 0.024 0.829
O10 O 0.179 0.178 0.333
O11 O 0.187 0.982 0.442
O12 O 0.196 0.003 0.159
O13 O 0.196 0.197 0.660
O14 O 0.205 0.460 0.216
O15 O 0.205 0.716 0.719
O16 O 0.206 0.480 0.495
O17 O 0.209 0.660 0.325
O18 O 0.216 0.526 0.823
O19 O 0.220 0.677 0.002
O20 O 0.266 0.637 0.602
O21 O 0.274 0.473 0.107
O22 O 0.338 0.856 0.658
O23 O 0.342 0.196 0.440
O24 O 0.346 0.807 0.941
O25 O 0.347 0.196 0.159
O26 O 0.374 0.190 0.830
O27 O 0.394 0.821 0.335
O28 O 0.397 0.790 0.053
O29 O 0.404 0.181 0.557
O30 O 0.478 0.528 0.391
O31 O 0.479 0.388 0.889
O32 O 0.510 0.348 0.176
O33 O 0.516 0.554 0.273
O34 O 0.519 0.316 0.770
O35 O 0.520 0.504 0.669
O36 O 0.531 0.800 0.548
O37 O 0.541 0.528 0.995
O38 O 0.541 0.852 0.159
O39 O 0.542 0.021 0.335
O40 O 0.544 0.045 0.054
O41 O 0.545 0.004 0.661
O42 O 0.545 0.817 0.830
O43 O 0.549 0.304 0.491
O44 O 0.565 0.823 0.436
O45 O 0.575 0.998 0.941
O46 O 0.664 0.538 0.491
O47 O 0.665 0.187 0.995
O48 O 0.667 0.543 0.775
O49 O 0.669 0.156 0.275
O50 O 0.694 0.515 0.172
O51 O 0.711 0.156 0.669
O52 O 0.724 0.127 0.387
O53 O 0.744 0.519 0.891
O54 O 0.813 0.866 0.719
O55 O 0.817 0.715 0.221
O56 O 0.820 0.701 0.498
O57 O 0.827 0.906 0.607
O58 O 0.833 0.864 0.001
O59 O 0.835 0.628 0.104
O60 O 0.855 0.869 0.325
O61 O 0.856 0.166 0.174
O62 O 0.867 0.129 0.889
O63 O 0.871 0.380 0.389
O64 O 0.880 0.339 0.669
O65 O 0.882 0.638 0.822
O66 O 0.884 0.313 0.996
O67 O 0.894 0.186 0.489
O68 O 0.895 0.164 0.769
O69 O 0.908 0.317 0.271
O70 O 0.983 0.924 0.101
O71 O 0.988 0.865 0.824
O72 O 0.995 0.523 0.325
```

Calculated values
Calculated formation energy in eV/atom: -2.625
Magnetization in μB per cell: 0.00



No. 5
# Na13Zr7Si5P7O48

An optimized crystal structure of Na13Zr7Si5P7O48 (PBE-GGA, Materials Project).

```
data_Na13Zr7Si5P7O48
_chemical_formula_sum 'Na13 Zr7 Si5 P7 O48'
_cell_length_a 9.175
_cell_length_b 9.537
_cell_length_c 15.875
_cell_angle_alpha 73.81
_cell_angle_beta 89.97
_cell_angle_gamma 61.28
_space_group_name_H-M_alt 'P 1'
_space_group_IT_number 1
loop_
_space_group_symop_operation_xyz
'x,y,z'
loop_
_atom_site_label
_atom_site_type_symbol
_atom_site_fract_x
_atom_site_fract_y
_atom_site_fract_z
Na1 Na 0.000 0.000 0.000
Na2 Na 0.016 0.999 0.698
Na3 Na 0.040 0.497 0.949
Na4 Na 0.085 0.489 0.258
Na5 Na 0.180 0.361 0.656
Na6 Na 0.360 0.600 0.595
Na7 Na 0.458 0.002 0.863
Na8 Na 0.501 0.030 0.481
Na9 Na 0.552 0.207 0.657
Na10 Na 0.595 0.359 0.476
Na11 Na 0.643 0.517 0.114
Na12 Na 0.666 0.352 0.767
Na13 Na 0.970 0.978 0.372
Zr1 Zr 0.056 0.223 0.150
Zr2 Zr 0.101 0.125 0.500
Zr3 Zr 0.304 0.716 0.908
Zr4 Zr 0.363 0.605 0.258
Zr5 Zr 0.599 0.116 0.005
Zr6 Zr 0.798 0.724 0.392
Zr7 Zr 0.853 0.614 0.749
Si1 Si 0.235 0.431 0.450
Si2 Si 0.300 0.415 0.816
Si3 Si 0.735 0.418 0.950
Si4 Si 0.807 0.428 0.592
Si5 Si 0.810 0.417 0.305
P1 P 0.312 0.420 0.100
P2 P 0.345 0.925 0.344
P3 P 0.355 0.913 0.059
P4 P 0.403 0.917 0.702
P5 P 0.849 0.920 0.553
P6 P 0.851 0.916 0.854
P7 P 0.920 0.919 0.200
O1 O 0.004 0.948 0.543
O2 O 0.032 0.877 0.886
O3 O 0.050 0.599 0.417
O4 O 0.091 0.753 0.214
O5 O 0.105 0.455 0.801
O6 O 0.167 0.378 0.106
O7 O 0.195 0.060 0.076
O8 O 0.218 0.261 0.456
O9 O 0.246 0.589 0.025
O10 O 0.246 0.952 0.423
O11 O 0.247 0.083 0.261
O12 O 0.291 0.565 0.852
O13 O 0.299 0.945 0.614
O14 O 0.305 0.901 0.969
O15 O 0.321 0.858 0.782
O16 O 0.330 0.412 0.540
O17 O 0.342 0.449 0.367
O18 O 0.349 0.444 0.189
O19 O 0.355 0.770 0.324
O20 O 0.387 0.406 0.729
O21 O 0.394 0.077 0.708
O22 O 0.404 0.747 0.134
O23 O 0.406 0.239 0.902
O24 O 0.470 0.277 0.081
O25 O 0.503 0.947 0.053
O26 O 0.521 0.898 0.368
O27 O 0.556 0.573 0.960
O28 O 0.586 0.776 0.708
O29 O 0.617 0.459 0.281
O30 O 0.645 0.408 0.609
O31 O 0.689 0.079 0.554
O32 O 0.718 0.253 0.952
O33 O 0.745 0.952 0.931
O34 O 0.768 0.578 0.499
O35 O 0.779 0.069 0.770
O36 O 0.798 0.475 0.857
O37 O 0.814 0.580 0.314
O38 O 0.814 0.877 0.470
O39 O 0.819 0.965 0.109
O40 O 0.823 0.902 0.278
O41 O 0.860 0.759 0.838
O42 O 0.874 0.368 0.035
O43 O 0.875 0.464 0.675
O44 O 0.898 0.773 0.640
O45 O 0.904 0.251 0.394
O46 O 0.905 0.378 0.219
O47 O 0.959 0.061 0.200
O48 O 0.972 0.251 0.584
```

Calculated values
Calculated formation energy in eV/atom: -3.039
Relative energy among the computed polymorphs in meV per atom: 0
Magnetization in μB per cell: 0.00



No. 6
# Na2SrP4O18

An optimized crystal structure of Na2SrP4O18 (PBE-GGA, Materials Project).

```
data_Na2SrP4O18
_chemical_formula_sum 'Na4 Sr2 P8 O36'
_cell_length_a 7.621
_cell_length_b 14.777
_cell_length_c 6.665
_cell_angle_alpha 90.00
_cell_angle_beta 90.00
_cell_angle_gamma 90.00
_space_group_name_H-M_alt 'I m m 2'
_space_group_IT_number 44
loop_
_space_group_symop_operation_xyz
'x,y,z'
'-x,-y,z'
'-x,y,z'
'x,-y,z'
'x+1/2,y+1/2,z+1/2'
'-x+1/2,-y+1/2,z+1/2'
'-x+1/2,y+1/2,z+1/2'
'x+1/2,-y+1/2,z+1/2'
loop_
_atom_site_label
_atom_site_type_symbol
_atom_site_fract_x
_atom_site_fract_y
_atom_site_fract_z
Na1 Na 0.000 0.238 0.000
Sr1 Sr 0.000 0.000 0.830
P1 P 0.200 0.399 0.713
O1 O 0.000 0.152 0.587
O2 O 0.000 0.395 0.632
O3 O 0.000 0.397 0.202
O4 O 0.096 0.500 0.209
O5 O 0.185 0.107 0.030
O6 O 0.214 0.500 0.808
O7 O 0.225 0.333 0.881
```

Calculated values
Calculated formation energy in eV/atom: -1.379
Magnetization in μB per cell: 12.00



No. 7
# LiTiTe2

An optimized crystal structure of LiTiTe2 (PBE-GGA, Materials Project).

```
data_LiTiTe2
_chemical_formula_sum 'Li1 Ti1 Te2'
_cell_length_a 3.9896
_cell_length_b 3.9896
_cell_length_c 6.8947
_cell_angle_alpha 90.00
_cell_angle_beta 90.00
_cell_angle_gamma 120.00
_space_group_name_H-M_alt 'P -3 m 1'
_space_group_IT_number 164
_space_group_name_Hall '-P 3 2"'
loop_
_atom_site_label
_atom_site_type_symbol
_atom_site_fract_x
_atom_site_fract_y
_atom_site_fract_z
Li1 Li 0.0000 0.0000 0.0000
Ti1 Ti 0.0000 0.0000 0.5000
Te1 Te 0.3333 0.6667 0.2608
```

Calculated values
Calculated formation energy in eV/atom: -1.036



No. 8
# La5In11Ni6

An optimized crystal structure of La5In11Ni6 (PBE-GGA, Materials Project).

```
data_La5In11Ni6
_chemical_formula_sum 'La10 In22 Ni12'
_cell_length_a 14.740
_cell_length_b 14.828
_cell_length_c 4.494
_cell_angle_alpha 90.00
_cell_angle_beta 90.00
_cell_angle_gamma 90.00
_space_group_name_H-M_alt 'C m m m'
_space_group_IT_number 65
_space_group_name_Hall '-C 2 2'
loop_
_atom_site_label
_atom_site_type_symbol
_atom_site_fract_x
_atom_site_fract_y
_atom_site_fract_z
La1 La 0.000 0.000 0.000
La2 La 0.174 0.363 0.500
In1 In 0.000 0.196 0.500
In2 In 0.000 0.339 0.000
In3 In 0.000 0.500 0.500
In4 In 0.155 0.192 0.000
In5 In 0.225 0.000 0.000
Ni1 Ni 0.092 0.500 0.000
Ni2 Ni 0.138 0.083 0.500
```

Calculated values
Calculated formation energy in eV/atom: -0.434
Magnetization in μB per cell: 0.00